Computed, not measured: crystalline Na3CuO2 at its relaxed geometry at the GGA-PBE level of DFT.

abc: 10.965 10.989 11.889
angles: 90.00 90.00 90.00
Space group P2_12_12_1 (No. 19)
Inequivalent atoms, fractional coordinates:
Na: 0.001 0.212 0.229
Na: 0.010 0.707 0.996
Na: 0.014 0.502 0.567
Na: 0.026 0.775 0.502
Na: 0.048 0.747 0.756
Na: 0.070 0.921 0.130
Na: 0.194 0.195 0.866
Na: 0.205 0.300 0.652
Na: 0.209 0.012 0.509
Na: 0.221 0.480 0.994
Na: 0.232 0.464 0.257
Na: 0.240 0.962 0.763
Cu: 0.001 0.991 0.354
Cu: 0.003 0.495 0.832
Cu: 0.230 0.237 0.099
Cu: 0.236 0.255 0.414
O: 0.114 0.113 0.669
O: 0.117 0.605 0.139
O: 0.118 0.120 0.068
O: 0.119 0.378 0.828
O: 0.120 0.879 0.335
O: 0.122 0.373 0.431
O: 0.144 0.860 0.914
O: 0.154 0.647 0.613

energy above the most stable polymorph in this dataset = 0.0122 eV/atom
spin magnetization = 0.001 μB per formula unit
energy with MP2020 corrections = -4.342 eV/atom